An optimized crystal structure of FePH5CO8, computed with GGA+U.

a = 10.733 Å, b = 8.758 Å, c = 9.406 Å
α = 77.78°, β = 90.00°, γ = 90.00°
Fractional coordinates of all 64 atoms:
Fe: 0.116 0.624 0.145
Fe: 0.616 0.376 0.355
Fe: 0.384 0.624 0.645
Fe: 0.884 0.376 0.855
P: 0.155 0.564 0.810
P: 0.845 0.436 0.190
P: 0.345 0.564 0.310
P: 0.655 0.436 0.690
H: 0.770 0.993 0.468
H: 0.906 0.306 0.414
H: 0.270 0.007 0.032
H: 0.813 0.693 0.571
H: 0.940 0.173 0.118
H: 0.687 0.693 0.071
H: 0.458 0.801 0.914
H: 0.094 0.694 0.586
H: 0.440 0.827 0.382
H: 0.042 0.801 0.414
H: 0.406 0.694 0.086
H: 0.542 0.199 0.086
H: 0.060 0.827 0.882
H: 0.187 0.307 0.429
H: 0.730 0.993 0.968
H: 0.594 0.306 0.914
H: 0.313 0.307 0.929
H: 0.560 0.173 0.618
H: 0.230 0.007 0.532
H: 0.958 0.199 0.586
C: 0.981 0.021 0.919
C: 0.019 0.979 0.081
C: 0.519 0.021 0.419
C: 0.481 0.979 0.581
O: 0.258 0.094 0.949
O: 0.920 0.141 0.871
O: 0.622 0.339 0.575
O: 0.663 0.790 0.001
O: 0.939 0.561 0.199
O: 0.561 0.561 0.699
O: 0.208 0.507 0.325
O: 0.163 0.210 0.499
O: 0.837 0.790 0.501
O: 0.337 0.210 0.999
O: 0.708 0.493 0.175
O: 0.014 0.927 0.835
O: 0.878 0.339 0.075
O: 0.836 0.310 0.345
O: 0.664 0.310 0.845
O: 0.336 0.690 0.155
O: 0.164 0.690 0.655
O: 0.486 0.927 0.335
O: 0.742 0.906 0.051
O: 0.080 0.859 0.129
O: 0.514 0.073 0.665
O: 0.792 0.493 0.675
O: 0.378 0.661 0.425
O: 0.580 0.141 0.371
O: 0.292 0.507 0.825
O: 0.420 0.859 0.629
O: 0.758 0.906 0.551
O: 0.122 0.661 0.925
O: 0.439 0.439 0.301
O: 0.986 0.073 0.165
O: 0.061 0.439 0.801
O: 0.242 0.094 0.449

Calculated values
The calculation puts the size of the total moment at 20.00 μB per cell. The formation energy comes out at -1.30 eV/atom.


An optimized crystal structure of FePH5CO8, computed with GGA+U.

a = 9.864 Å, b = 7.768 Å, c = 10.812 Å
α = 89.30°, β = 90.00°, γ = 90.00°
Fractional coordinates of all 64 atoms:
Fe: 0.158 0.500 0.130
Fe: 0.658 0.500 0.370
Fe: 0.342 0.500 0.630
Fe: 0.842 0.500 0.870
P: 0.167 0.450 0.846
P: 0.833 0.550 0.154
P: 0.333 0.450 0.346
P: 0.667 0.550 0.654
H: 0.665 0.007 0.321
H: 0.919 0.389 0.318
H: 0.165 0.993 0.179
H: 0.849 0.728 0.557
H: 0.844 0.276 0.088
H: 0.651 0.728 0.057
H: 0.475 0.834 0.891
H: 0.081 0.611 0.682
H: 0.344 0.724 0.412
H: 0.025 0.834 0.391
H: 0.419 0.611 0.182
H: 0.525 0.166 0.109
H: 0.156 0.724 0.912
H: 0.151 0.272 0.443
H: 0.835 0.007 0.821
H: 0.581 0.389 0.818
H: 0.349 0.272 0.943
H: 0.656 0.276 0.588
H: 0.335 0.993 0.679
H: 0.975 0.166 0.609
C: 0.981 0.978 0.933
C: 0.019 0.022 0.067
C: 0.519 0.978 0.433
C: 0.481 0.022 0.567
O: 0.308 0.267 0.027
O: 0.862 0.047 0.903
O: 0.688 0.390 0.556
O: 0.834 0.690 0.012
O: 0.982 0.605 0.172
O: 0.518 0.605 0.672
O: 0.203 0.362 0.298
O: 0.334 0.310 0.488
O: 0.666 0.690 0.512
O: 0.166 0.310 0.988
O: 0.703 0.638 0.202
O: 0.052 0.892 0.864
O: 0.812 0.390 0.056
O: 0.830 0.403 0.281
O: 0.670 0.403 0.781
O: 0.330 0.597 0.219
O: 0.170 0.597 0.719
O: 0.448 0.892 0.364
O: 0.692 0.733 0.973
O: 0.138 0.953 0.097
O: 0.552 0.108 0.636
O: 0.797 0.638 0.702
O: 0.312 0.610 0.444
O: 0.638 0.047 0.403
O: 0.297 0.362 0.798
O: 0.362 0.953 0.597
O: 0.808 0.733 0.473
O: 0.188 0.610 0.944
O: 0.482 0.395 0.328
O: 0.948 0.108 0.136
O: 0.018 0.395 0.828
O: 0.192 0.267 0.527

Calculated values
The calculation puts the size of the total moment at 20.00 μB per cell. The formation energy comes out at -1.24 eV/atom.